[1]
Compound: TiZn16
Source: the Materials Project
Functional: PBE
Structure: optimized geometry

Its calculated formation energy is -1.09 eV/f.u. Its raw total energy is -116.6 eV for the cell shown. The calculated volume is 15.2 Å³/atom.

The structure belongs to space group Cmcm (No. 63); the cell edges are 7.707, 11.519 and 11.673 Å and the angles 90.00°, 90.00° and 90.00°. Symmetry generates all atoms from Ti at (0.000, 0.047, 0.250), Zn at (0.000, 0.000, 0.000), Zn at (0.000, 0.176, 0.641), Zn at (0.000, 0.289, 0.250), Zn at (0.000, 0.379, 0.531), Zn at (0.165, 0.357, 0.750), Zn at (0.168, 0.185, 0.069) and Zn at (0.206, 0.447, 0.135).


[2]
Compound: TiZn
Source: the Materials Project
Functional: PBE
Structure: optimized geometry

Its calculated formation energy is -0.39 eV/f.u. Its raw total energy is -9.5 eV for the cell shown. The calculated volume is 15.6 Å³/atom.

The structure belongs to space group Pm-3m (No. 221); the cell edges are 3.147, 3.147 and 3.147 Å and the angles 90.00°, 90.00° and 90.00°. Symmetry generates all atoms from Ti at (0.000, 0.000, 0.000) and Zn at (0.500, 0.500, 0.500).


[3]
Compound: TiZn2
Source: the Materials Project
Functional: PBE
Structure: optimized geometry

Its calculated formation energy is -0.59 eV/f.u. Its raw total energy is -44.0 eV for the cell shown. The calculated volume is 15.2 Å³/atom.

The structure belongs to space group P6_3/mmc (No. 194); the cell edges are 5.0831, 5.0831 and 8.1713 Å and the angles 90.00°, 90.00° and 120.00°. Symmetry generates all atoms from Ti at (0.3333, 0.6667, 0.0671), Zn at (0.0000, 0.0000, 0.0000) and Zn at (0.1718, 0.3437, 0.7500).


[4]
Compound: ZrTi
Source: the Materials Project
Functional: PBE
Structure: optimized geometry

Its calculated formation energy is 0.18 eV/f.u. The total magnetization comes out at 0.0 μB/f.u. Its raw total energy is -16.3 eV for the cell shown. The calculated volume is 20.3 Å³/atom.

The structure belongs to space group P4/mmm (No. 123); the cell edges are 3.112, 3.112 and 4.198 Å and the angles 90.00°, 90.00° and 90.00°. Symmetry generates all atoms from Zr at (0.000, 0.000, 0.000) and Ti at (0.500, 0.500, 0.500).


[5]
Compound: ZrTi
Source: the Materials Project
Functional: PBE
Structure: optimized geometry

Its calculated formation energy is 0.16 eV/f.u. The total magnetization comes out at 0.0 μB/f.u. Its raw total energy is -16.3 eV for the cell shown. The calculated volume is 20.6 Å³/atom.

The structure belongs to space group P-6m2 (No. 187); the cell edges are 3.1090, 3.1090 and 4.9205 Å and the angles 90.00°, 90.00° and 120.00°. Symmetry generates all atoms from Zr at (0.0000, 0.0000, 0.0000) and Ti at (0.3333, 0.6667, 0.5000).


[6]
Compound: Tl
Source: the Materials Project
Functional: PBE
Structure: optimized geometry

Its calculated formation energy is 0.01 eV/f.u. Its raw total energy is -9.4 eV for the cell shown. The calculated volume is 31.1 Å³/atom. For the energy above the most stable polymorph in this dataset, the calculation gives 0.011 eV/atom.

The structure belongs to space group Fm-3m (No. 225); the cell edges are 4.993, 4.993 and 4.993 Å and the angles 90.00°, 90.00° and 90.00°. Symmetry generates all atoms from Tl at (0.000, 0.000, 0.000).